! CaFe2Sb2P6O24 | the Materials Project database | GGA+U | optimized geometry; values from VASP
&SYSTEM
  ibrav = 0, nat = 35, ntyp = 5
/
ATOMIC_SPECIES
Ca 40.08 Ca.upf
Fe 55.84 Fe.upf
Sb 121.76 Sb.upf
P 30.97 P.upf
O 16.00 O.upf
CELL_PARAMETERS angstrom
4.222 2.437 7.493
-4.222 2.437 7.493
0.000 -4.875 7.493
ATOMIC_POSITIONS crystal
Ca 0.000 0.000 0.000
Fe 0.147 0.147 0.147
Fe 0.853 0.853 0.853
Sb 0.352 0.352 0.352
Sb 0.648 0.648 0.648
P 0.038 0.753 0.459
P 0.247 0.541 0.962
P 0.459 0.038 0.753
P 0.541 0.962 0.247
P 0.753 0.459 0.038
P 0.962 0.247 0.541
O 0.011 0.798 0.615
O 0.108 0.891 0.254
O 0.109 0.746 0.892
O 0.157 0.225 0.526
O 0.185 0.541 0.484
O 0.202 0.385 0.989
O 0.225 0.526 0.157
O 0.254 0.108 0.891
O 0.385 0.989 0.202
O 0.459 0.516 0.815
O 0.474 0.843 0.775
O 0.484 0.185 0.541
O 0.516 0.815 0.459
O 0.526 0.157 0.225
O 0.541 0.484 0.185
O 0.615 0.011 0.798
O 0.746 0.892 0.109
O 0.775 0.474 0.843
O 0.798 0.615 0.011
O 0.815 0.459 0.516
O 0.843 0.775 0.474
O 0.891 0.254 0.108
O 0.892 0.109 0.746
O 0.989 0.202 0.385
! formation enthalpy at 0 K	-2.50	eV/atom
! crystal system	trigonal
! raw total energy	-0.514	Ry/atom
! magnetization	10.00	μB/cell
! SG	No. 148

***

! CoSO4 | the Materials Project database | GGA+U | optimized geometry; values from VASP
&SYSTEM
  ibrav = 0, nat = 12, ntyp = 3
/
ATOMIC_SPECIES
Co 58.93 Co.upf
S 32.06 S.upf
O 16.00 O.upf
CELL_PARAMETERS angstrom
5.456 0.000 0.000
0.000 7.142 0.000
-1.502 0.000 6.694
ATOMIC_POSITIONS crystal
Co 0.000 0.000 0.000
Co 0.000 0.500 0.000
S 0.069 0.250 0.735
S 0.931 0.750 0.265
O 0.089 0.575 0.284
O 0.089 0.925 0.284
O 0.180 0.250 0.972
O 0.257 0.250 0.619
O 0.743 0.750 0.381
O 0.820 0.750 0.028
O 0.911 0.075 0.716
O 0.911 0.425 0.716
! formation enthalpy at 0 K	-1.51	eV/atom
! crystal system	monoclinic
! raw total energy	-0.437	Ry/atom
! magnetization	6.01	μB/cell
! SG	No. 11

***

! Eu2CoWO6 | the Materials Project database | GGA+U | optimized geometry; values from VASP
&SYSTEM
  ibrav = 0, nat = 10, ntyp = 4
/
ATOMIC_SPECIES
Eu 151.96 Eu.upf
Co 58.93 Co.upf
W 183.84 W.upf
O 16.00 O.upf
CELL_PARAMETERS angstrom
0.000 4.007 4.007
4.007 0.000 4.007
4.007 4.007 0.000
ATOMIC_POSITIONS crystal
Eu 0.250 0.250 0.250
Eu 0.750 0.750 0.750
Co 0.000 0.000 0.000
W 0.500 0.500 0.500
O 0.257 0.257 0.743
O 0.257 0.743 0.257
O 0.257 0.743 0.743
O 0.743 0.257 0.257
O 0.743 0.257 0.743
O 0.743 0.743 0.257
! formation enthalpy at 0 K	-2.49	eV/atom
! crystal system	cubic
! raw total energy	-0.624	Ry/atom
! magnetization	16.27	μB/cell
! SG	No. 225

***

! Mg6NiBiO8 | the Materials Project database | GGA+U | optimized geometry; values from VASP
&SYSTEM
  ibrav = 0, nat = 16, ntyp = 4
/
ATOMIC_SPECIES
Mg 24.30 Mg.upf
Ni 58.69 Ni.upf
Bi 208.98 Bi.upf
O 16.00 O.upf
CELL_PARAMETERS angstrom
4.481 0.000 0.000
0.000 4.481 0.000
0.000 0.000 8.771
ATOMIC_POSITIONS crystal
Mg 0.000 0.000 0.000
Mg 0.000 0.500 0.238
Mg 0.000 0.500 0.762
Mg 0.500 0.000 0.238
Mg 0.500 0.000 0.762
Mg 0.500 0.500 0.000
Ni 0.000 0.000 0.500
Bi 0.500 0.500 0.500
O 0.000 0.000 0.236
O 0.000 0.000 0.764
O 0.000 0.500 0.000
O 0.000 0.500 0.500
O 0.500 0.000 0.000
O 0.500 0.000 0.500
O 0.500 0.500 0.230
O 0.500 0.500 0.770
! ΔE to the lowest computed polymorph	0.00	kJ per mole of atoms
! formation enthalpy at 0 K	-2.36	eV/atom
! crystal system	tetragonal
! raw total energy	-0.407	Ry/atom
! magnetization	1.00	μB/cell
! SG	No. 123

***

! Li2Cr3FeO8 | the Materials Project database | GGA+U | optimized geometry; values from VASP
&SYSTEM
  ibrav = 0, nat = 14, ntyp = 4
/
ATOMIC_SPECIES
Li 6.94 Li.upf
Cr 52.00 Cr.upf
Fe 55.84 Fe.upf
O 16.00 O.upf
CELL_PARAMETERS angstrom
5.841 0.000 0.000
-2.873 5.105 0.000
-2.902 -1.712 4.921
ATOMIC_POSITIONS crystal
Li 0.000 0.000 0.000
Li 0.000 0.500 0.000
Cr 0.000 0.000 0.500
Cr 0.000 0.500 0.500
Cr 0.500 0.000 0.500
Fe 0.500 0.500 0.500
O 0.041 0.269 0.288
O 0.044 0.770 0.289
O 0.483 0.242 0.703
O 0.484 0.733 0.707
O 0.516 0.267 0.293
O 0.517 0.758 0.297
O 0.956 0.230 0.711
O 0.959 0.731 0.712
! ΔE to the lowest computed polymorph	6.75	kJ per mole of atoms
! formation enthalpy at 0 K	-2.05	eV/atom
! crystal system	triclinic
! raw total energy	-0.503	Ry/atom
! magnetization	12.00	μB/cell
! SG	No. 2

***

! DyTlW2O8 | the Materials Project database | GGA+U | optimized geometry; values from VASP
&SYSTEM
  ibrav = 0, nat = 24, ntyp = 4
/
ATOMIC_SPECIES
Dy 162.50 Dy.upf
Tl 204.38 Tl.upf
W 183.84 W.upf
O 16.00 O.upf
CELL_PARAMETERS angstrom
5.468 -5.338 0.000
5.468 5.338 0.000
-4.819 0.000 5.703
ATOMIC_POSITIONS crystal
Dy 0.224 0.776 0.750
Dy 0.776 0.224 0.250
Tl 0.205 0.795 0.250
Tl 0.795 0.205 0.750
W 0.299 0.310 0.782
W 0.310 0.299 0.282
W 0.690 0.701 0.718
W 0.701 0.690 0.218
O 0.045 0.217 0.190
O 0.063 0.375 0.623
O 0.217 0.045 0.690
O 0.245 0.380 0.058
O 0.370 0.590 0.534
O 0.375 0.063 0.123
O 0.380 0.245 0.558
O 0.410 0.630 0.966
O 0.590 0.370 0.034
O 0.620 0.755 0.442
O 0.625 0.937 0.877
O 0.630 0.410 0.466
O 0.755 0.620 0.942
O 0.783 0.955 0.310
O 0.937 0.625 0.377
O 0.955 0.783 0.810
! formation enthalpy at 0 K	-2.51	eV/atom
! crystal system	monoclinic
! raw total energy	-0.540	Ry/atom
! magnetization	0.00	μB/cell
! SG	No. 15

***

! Tl3Co3O8 | the Materials Project database | GGA+U | optimized geometry; values from VASP
&SYSTEM
  ibrav = 0, nat = 28, ntyp = 3
/
ATOMIC_SPECIES
Tl 204.38 Tl.upf
Co 58.93 Co.upf
O 16.00 O.upf
CELL_PARAMETERS angstrom
5.581 0.000 0.000
-0.001 5.590 0.000
-0.026 -0.008 11.332
ATOMIC_POSITIONS crystal
Tl 0.000 0.000 0.000
Tl 0.003 0.997 0.359
Tl 0.532 0.496 0.001
Tl 0.536 0.500 0.359
Tl 0.540 0.598 0.682
Tl 0.996 0.099 0.678
Co 0.027 0.549 0.509
Co 0.032 0.548 0.847
Co 0.069 0.492 0.177
Co 0.467 0.991 0.182
Co 0.503 0.048 0.514
Co 0.509 0.049 0.851
O 0.134 0.485 0.684
O 0.139 0.139 0.180
O 0.217 0.258 0.901
O 0.221 0.251 0.463
O 0.315 0.751 0.896
O 0.320 0.759 0.459
O 0.397 0.639 0.179
O 0.401 0.984 0.676
O 0.618 0.103 0.036
O 0.618 0.104 0.330
O 0.705 0.350 0.547
O 0.717 0.357 0.815
O 0.819 0.858 0.545
O 0.830 0.850 0.812
O 0.917 0.604 0.323
O 0.920 0.601 0.028
! ΔE to the lowest computed polymorph	0.00	kJ per mole of atoms
! formation enthalpy at 0 K	-1.12	eV/atom
! crystal system	triclinic
! raw total energy	-0.385	Ry/atom
! magnetization	2.00	μB/cell
! SG	No. 1

***

! La3MnO7 | the Materials Project database | GGA+U | optimized geometry; values from VASP
&SYSTEM
  ibrav = 0, nat = 44, ntyp = 3
/
ATOMIC_SPECIES
La 138.91 La.upf
Mn 54.94 Mn.upf
O 16.00 O.upf
CELL_PARAMETERS angstrom
5.424 0.000 0.000
0.000 5.394 0.000
-5.368 0.000 20.419
ATOMIC_POSITIONS crystal
La 0.071 0.245 0.323
La 0.071 0.255 0.823
La 0.249 0.250 0.000
La 0.249 0.250 0.500
La 0.418 0.246 0.678
La 0.418 0.254 0.178
La 0.582 0.746 0.822
La 0.582 0.754 0.322
La 0.751 0.750 0.000
La 0.751 0.750 0.500
La 0.929 0.745 0.177
La 0.929 0.755 0.677
Mn 0.349 0.746 0.595
Mn 0.349 0.754 0.095
Mn 0.651 0.246 0.905
Mn 0.651 0.254 0.405
O 0.013 0.729 0.788
O 0.013 0.771 0.288
O 0.098 0.505 0.090
O 0.098 0.995 0.590
O 0.103 0.504 0.597
O 0.103 0.996 0.097
O 0.279 0.727 0.505
O 0.279 0.773 0.005
O 0.402 0.002 0.896
O 0.402 0.498 0.396
O 0.410 0.004 0.404
O 0.410 0.496 0.904
O 0.434 0.734 0.200
O 0.434 0.766 0.700
O 0.566 0.234 0.300
O 0.566 0.266 0.800
O 0.590 0.504 0.096
O 0.590 0.996 0.596
O 0.598 0.502 0.604
O 0.598 0.998 0.104
O 0.721 0.227 0.995
O 0.721 0.273 0.495
O 0.897 0.004 0.903
O 0.897 0.496 0.403
O 0.902 0.005 0.410
O 0.902 0.495 0.910
O 0.987 0.229 0.712
O 0.987 0.271 0.212
! ΔE to the lowest computed polymorph	0.45	kJ per mole of atoms
! formation enthalpy at 0 K	-3.07	eV/atom
! crystal system	monoclinic
! raw total energy	-0.574	Ry/atom
! magnetization	8.01	μB/cell
! SG	No. 14

***

! SrCrO4 | the Materials Project database | GGA+U | optimized geometry; values from VASP
&SYSTEM
  ibrav = 0, nat = 24, ntyp = 3
/
ATOMIC_SPECIES
Sr 87.62 Sr.upf
Cr 52.00 Cr.upf
O 16.00 O.upf
CELL_PARAMETERS angstrom
6.395 0.000 0.000
0.000 7.601 0.000
-0.423 0.000 9.752
ATOMIC_POSITIONS crystal
Sr 0.167 0.093 0.361
Sr 0.167 0.407 0.861
Sr 0.833 0.593 0.139
Sr 0.833 0.907 0.639
Cr 0.315 0.605 0.235
Cr 0.315 0.895 0.735
Cr 0.685 0.105 0.265
Cr 0.685 0.395 0.765
O 0.099 0.622 0.331
O 0.099 0.878 0.831
O 0.208 0.572 0.068
O 0.208 0.928 0.568
O 0.459 0.233 0.745
O 0.459 0.267 0.245
O 0.463 0.556 0.726
O 0.463 0.944 0.226
O 0.537 0.056 0.774
O 0.537 0.444 0.274
O 0.541 0.733 0.755
O 0.541 0.767 0.255
O 0.792 0.072 0.432
O 0.792 0.428 0.932
O 0.901 0.122 0.169
O 0.901 0.378 0.669
! formation enthalpy at 0 K	-1.65	eV/atom
! crystal system	monoclinic
! raw total energy	-0.470	Ry/atom
! magnetization	8.00	μB/cell
! SG	No. 14

***

! Li9Mn2Co5O16 | the Materials Project database | GGA+U | optimized geometry; values from VASP
&SYSTEM
  ibrav = 0, nat = 32, ntyp = 4
/
ATOMIC_SPECIES
Li 6.94 Li.upf
Mn 54.94 Mn.upf
Co 58.93 Co.upf
O 16.00 O.upf
CELL_PARAMETERS angstrom
2.924 0.000 0.000
-0.074 5.124 0.000
-1.220 -0.889 19.292
ATOMIC_POSITIONS crystal
Li 0.000 0.000 0.000
Li 0.052 0.678 0.118
Li 0.188 0.068 0.370
Li 0.313 0.435 0.625
Li 0.448 0.824 0.884
Li 0.558 0.175 0.119
Li 0.689 0.560 0.373
Li 0.811 0.938 0.625
Li 0.948 0.322 0.881
Mn 0.250 0.750 0.499
Mn 0.377 0.125 0.751
Co 0.123 0.372 0.247
Co 0.499 0.499 0.999
Co 0.624 0.871 0.247
Co 0.750 0.249 0.499
Co 0.877 0.626 0.752
O 0.020 0.356 0.055
O 0.072 0.021 0.189
O 0.173 0.726 0.305
O 0.223 0.428 0.442
O 0.277 0.074 0.556
O 0.348 0.802 0.694
O 0.404 0.447 0.807
O 0.472 0.203 0.945
O 0.527 0.794 0.054
O 0.575 0.518 0.191
O 0.673 0.221 0.307
O 0.730 0.882 0.443
O 0.771 0.615 0.556
O 0.853 0.264 0.694
O 0.899 0.989 0.807
O 0.977 0.645 0.943
! ΔE to the lowest computed polymorph	7.84	kJ per mole of atoms
! formation enthalpy at 0 K	-1.78	eV/atom
! crystal system	triclinic
! raw total energy	-0.424	Ry/atom
! magnetization	22.00	μB/cell
! SG	No. 1

***

! Li4V7P6O24 | the Materials Project database | GGA+U | optimized geometry; values from VASP
&SYSTEM
  ibrav = 0, nat = 41, ntyp = 4
/
ATOMIC_SPECIES
Li 6.94 Li.upf
V 50.94 V.upf
P 30.97 P.upf
O 16.00 O.upf
CELL_PARAMETERS angstrom
5.374 -7.110 0.000
5.374 7.110 0.000
-1.938 0.000 6.422
ATOMIC_POSITIONS crystal
Li 0.000 0.000 0.000
Li 0.331 0.551 0.002
Li 0.551 0.331 0.002
Li 0.635 0.635 0.903
V 0.000 0.000 0.494
V 0.002 0.642 0.678
V 0.321 0.677 0.487
V 0.361 0.997 0.298
V 0.642 0.002 0.678
V 0.677 0.321 0.487
V 0.997 0.361 0.298
P 0.082 0.720 0.183
P 0.284 0.912 0.794
P 0.329 0.329 0.575
P 0.668 0.668 0.403
P 0.720 0.082 0.183
P 0.912 0.284 0.794
O 0.039 0.367 0.995
O 0.050 0.627 0.360
O 0.101 0.900 0.737
O 0.103 0.905 0.251
O 0.201 0.201 0.627
O 0.249 0.427 0.439
O 0.260 0.722 0.177
O 0.273 0.731 0.792
O 0.367 0.039 0.995
O 0.374 0.945 0.614
O 0.427 0.249 0.439
O 0.444 0.444 0.780
O 0.554 0.554 0.199
O 0.573 0.747 0.547
O 0.627 0.050 0.360
O 0.651 0.954 0.981
O 0.722 0.260 0.177
O 0.731 0.273 0.792
O 0.747 0.573 0.547
O 0.797 0.797 0.354
O 0.900 0.101 0.737
O 0.905 0.103 0.251
O 0.945 0.374 0.614
O 0.954 0.651 0.981
! formation enthalpy at 0 K	-2.54	eV/atom
! crystal system	monoclinic
! raw total energy	-0.534	Ry/atom
! magnetization	21.00	μB/cell
! SG	No. 8

***

! Sr4LaFe2Co3O15 | the Materials Project database | GGA+U | optimized geometry; values from VASP
&SYSTEM
  ibrav = 0, nat = 25, ntyp = 5
/
ATOMIC_SPECIES
Sr 87.62 Sr.upf
La 138.91 La.upf
Fe 55.84 Fe.upf
Co 58.93 Co.upf
O 16.00 O.upf
CELL_PARAMETERS angstrom
5.488 0.000 0.000
0.055 6.759 0.000
2.700 2.376 8.017
ATOMIC_POSITIONS crystal
Sr 0.102 0.400 0.299
Sr 0.303 0.200 0.901
Sr 0.697 0.800 0.099
Sr 0.898 0.600 0.701
La 0.500 0.000 0.500
Fe 0.299 0.698 0.902
Fe 0.701 0.302 0.098
Co 0.103 0.901 0.299
Co 0.500 0.500 0.500
Co 0.897 0.099 0.701
O 0.000 0.000 0.500
O 0.000 0.500 0.000
O 0.099 0.915 0.787
O 0.196 0.804 0.097
O 0.228 0.308 0.591
O 0.284 0.713 0.395
O 0.394 0.612 0.693
O 0.408 0.101 0.209
O 0.500 0.500 0.000
O 0.592 0.899 0.791
O 0.606 0.388 0.307
O 0.716 0.287 0.605
O 0.772 0.692 0.409
O 0.804 0.196 0.903
O 0.901 0.085 0.213
! formation enthalpy at 0 K	-2.21	eV/atom
! crystal system	triclinic
! raw total energy	-0.469	Ry/atom
! magnetization	18.00	μB/cell
! SG	No. 2